[1]
DFT (PBE) results for Mg2Cd after structural relaxation.

Geometry as CIF:
```
data_Mg2Cd
_cell_length_a 5.443
_cell_length_b 5.443
_cell_length_c 5.143
_cell_angle_alpha 90.00
_cell_angle_beta 90.00
_cell_angle_gamma 59.69
_symmetry_space_group_name_H-M 'P 1'
_symmetry_Int_Tables_number 1
loop_
_symmetry_equiv_pos_as_xyz
'x,y,z'
loop_
_atom_site_label
_atom_site_fract_x
_atom_site_fract_y
_atom_site_fract_z
Mg1 0.007 0.665 0.750
Mg2 0.335 0.993 0.750
Mg3 0.665 0.007 0.250
Mg4 0.993 0.335 0.250
Cd1 0.329 0.671 0.250
Cd2 0.671 0.329 0.750
```

Summary:
- Crystal system: orthorhombic
- Formation enthalpy at 0 K: -0.066 eV per atom
- SG: Cmcm



[2]
DFT (PBE) results for KBH5N after structural relaxation.

Geometry as CIF:
```
data_KBH5N
_cell_length_a 8.306
_cell_length_b 17.481
_cell_length_c 9.612
_cell_angle_alpha 90.00
_cell_angle_beta 90.00
_cell_angle_gamma 90.00
_symmetry_space_group_name_H-M 'P 1'
_symmetry_Int_Tables_number 1
loop_
_symmetry_equiv_pos_as_xyz
'x,y,z'
loop_
_atom_site_label
_atom_site_fract_x
_atom_site_fract_y
_atom_site_fract_z
K1 0.081 0.175 0.232
K2 0.081 0.325 0.732
K3 0.135 0.609 0.854
K4 0.135 0.891 0.354
K5 0.365 0.109 0.854
K6 0.365 0.391 0.354
K7 0.419 0.675 0.232
K8 0.419 0.825 0.732
K9 0.581 0.175 0.268
K10 0.581 0.325 0.768
K11 0.635 0.609 0.646
K12 0.635 0.891 0.146
K13 0.865 0.109 0.646
K14 0.865 0.391 0.146
K15 0.919 0.675 0.268
K16 0.919 0.825 0.768
B1 0.156 0.531 0.187
B2 0.156 0.969 0.687
B3 0.163 0.725 0.540
B4 0.163 0.775 0.040
B5 0.337 0.225 0.540
B6 0.337 0.275 0.040
B7 0.344 0.031 0.187
B8 0.344 0.469 0.687
B9 0.656 0.531 0.313
B10 0.656 0.969 0.813
B11 0.663 0.725 0.960
B12 0.663 0.775 0.460
B13 0.837 0.225 0.960
B14 0.837 0.275 0.460
B15 0.844 0.031 0.313
B16 0.844 0.469 0.813
H1 0.008 0.627 0.564
H2 0.008 0.873 0.064
H3 0.030 0.553 0.129
H4 0.030 0.947 0.629
H5 0.090 0.207 0.939
H6 0.090 0.293 0.439
H7 0.092 0.022 0.132
H8 0.092 0.478 0.632
H9 0.128 0.034 0.736
H10 0.128 0.466 0.236
H11 0.161 0.708 0.081
H12 0.161 0.792 0.581
H13 0.173 0.728 0.409
H14 0.173 0.772 0.909
H15 0.181 0.573 0.288
H16 0.181 0.927 0.788
H17 0.210 0.506 0.509
H18 0.210 0.994 0.009
H19 0.211 0.195 0.583
H20 0.211 0.305 0.083
H21 0.289 0.695 0.583
H22 0.289 0.805 0.083
H23 0.290 0.006 0.509
H24 0.290 0.494 0.009
H25 0.319 0.073 0.288
H26 0.319 0.427 0.788
H27 0.327 0.228 0.409
H28 0.327 0.272 0.909
H29 0.339 0.208 0.081
H30 0.339 0.292 0.581
H31 0.372 0.534 0.736
H32 0.372 0.966 0.236
H33 0.408 0.522 0.132
H34 0.408 0.978 0.632
H35 0.410 0.707 0.939
H36 0.410 0.793 0.439
H37 0.470 0.053 0.129
H38 0.470 0.447 0.629
H39 0.492 0.127 0.564
H40 0.492 0.373 0.064
H41 0.508 0.627 0.936
H42 0.508 0.873 0.436
H43 0.530 0.553 0.371
H44 0.530 0.947 0.871
H45 0.590 0.207 0.561
H46 0.590 0.293 0.061
H47 0.592 0.022 0.368
H48 0.592 0.478 0.868
H49 0.628 0.034 0.764
H50 0.628 0.466 0.264
H51 0.661 0.708 0.419
H52 0.661 0.792 0.919
H53 0.673 0.728 0.091
H54 0.673 0.772 0.591
H55 0.681 0.573 0.212
H56 0.681 0.927 0.712
H57 0.710 0.506 0.991
H58 0.710 0.994 0.491
H59 0.711 0.195 0.917
H60 0.711 0.305 0.417
H61 0.789 0.695 0.917
H62 0.789 0.805 0.417
H63 0.790 0.006 0.991
H64 0.790 0.494 0.491
H65 0.819 0.073 0.212
H66 0.819 0.427 0.712
H67 0.827 0.228 0.091
H68 0.827 0.272 0.591
H69 0.839 0.208 0.419
H70 0.839 0.292 0.919
H71 0.872 0.534 0.764
H72 0.872 0.966 0.264
H73 0.908 0.522 0.368
H74 0.908 0.978 0.868
H75 0.910 0.707 0.561
H76 0.910 0.793 0.061
H77 0.970 0.053 0.371
H78 0.970 0.447 0.871
H79 0.992 0.127 0.936
H80 0.992 0.373 0.436
N1 0.014 0.682 0.597
N2 0.014 0.818 0.097
N3 0.200 0.034 0.085
N4 0.200 0.466 0.585
N5 0.300 0.534 0.085
N6 0.300 0.966 0.585
N7 0.486 0.182 0.597
N8 0.486 0.318 0.097
N9 0.514 0.682 0.903
N10 0.514 0.818 0.403
N11 0.700 0.034 0.415
N12 0.700 0.466 0.915
N13 0.800 0.534 0.415
N14 0.800 0.966 0.915
N15 0.986 0.182 0.903
N16 0.986 0.318 0.403
```

Summary:
- Total magnetic moment: 0.00 μB/f.u.
- Crystal system: orthorhombic
- Formation enthalpy at 0 K: -0.439 eV per atom
- SG: Pbca



[3]
DFT (PBE) results for As2Pb2O5 after structural relaxation.

Geometry as CIF:
```
data_As2Pb2O5
_cell_length_a 8.763
_cell_length_b 5.861
_cell_length_c 14.014
_cell_angle_alpha 90.00
_cell_angle_beta 109.41
_cell_angle_gamma 90.00
_symmetry_space_group_name_H-M 'P 1'
_symmetry_Int_Tables_number 1
loop_
_symmetry_equiv_pos_as_xyz
'x,y,z'
loop_
_atom_site_label
_atom_site_fract_x
_atom_site_fract_y
_atom_site_fract_z
As1 0.114 0.122 0.369
As2 0.114 0.378 0.869
As3 0.384 0.626 0.063
As4 0.384 0.874 0.563
As5 0.616 0.126 0.437
As6 0.616 0.374 0.937
As7 0.886 0.622 0.131
As8 0.886 0.878 0.631
Pb1 0.144 0.158 0.122
Pb2 0.144 0.342 0.622
Pb3 0.348 0.663 0.296
Pb4 0.348 0.837 0.796
Pb5 0.652 0.163 0.204
Pb6 0.652 0.337 0.704
Pb7 0.856 0.658 0.378
Pb8 0.856 0.842 0.878
O1 0.072 0.006 0.701
O2 0.072 0.494 0.201
O3 0.177 0.613 0.966
O4 0.177 0.887 0.466
O5 0.238 0.045 0.294
O6 0.238 0.455 0.794
O7 0.346 0.667 0.646
O8 0.346 0.833 0.146
O9 0.378 0.123 0.637
O10 0.378 0.377 0.137
O11 0.622 0.623 0.863
O12 0.622 0.877 0.363
O13 0.654 0.167 0.854
O14 0.654 0.333 0.354
O15 0.762 0.545 0.206
O16 0.762 0.955 0.706
O17 0.823 0.113 0.534
O18 0.823 0.387 0.034
O19 0.928 0.506 0.799
O20 0.928 0.994 0.299
```

Summary:
- Crystal system: monoclinic
- Formation enthalpy at 0 K: -1.642 eV per atom
- SG: P2_1/c



[4]
DFT (PBE) results for Ca2AuN after structural relaxation.

Geometry as CIF:
```
data_Ca2AuN
_cell_length_a 9.316
_cell_length_b 9.316
_cell_length_c 4.967
_cell_angle_alpha 90.00
_cell_angle_beta 90.00
_cell_angle_gamma 157.97
_symmetry_space_group_name_H-M 'P 1'
_symmetry_Int_Tables_number 1
loop_
_symmetry_equiv_pos_as_xyz
'x,y,z'
loop_
_atom_site_label
_atom_site_fract_x
_atom_site_fract_y
_atom_site_fract_z
Ca1 0.105 0.895 0.750
Ca2 0.284 0.716 0.750
Ca3 0.716 0.284 0.250
Ca4 0.895 0.105 0.250
Au1 0.459 0.541 0.750
Au2 0.541 0.459 0.250
N1 0.306 0.694 0.250
N2 0.694 0.306 0.750
```

Summary:
- Crystal system: orthorhombic
- Formation enthalpy at 0 K: -0.897 eV per atom
- SG: Cmcm



[5]
DFT (PBE) results for FeCl3 after structural relaxation.

Geometry as CIF:
```
data_FeCl3
_cell_length_a 7.268
_cell_length_b 7.268
_cell_length_c 7.268
_cell_angle_alpha 48.17
_cell_angle_beta 48.17
_cell_angle_gamma 48.17
_symmetry_space_group_name_H-M 'P 1'
_symmetry_Int_Tables_number 1
loop_
_symmetry_equiv_pos_as_xyz
'x,y,z'
loop_
_atom_site_label
_atom_site_fract_x
_atom_site_fract_y
_atom_site_fract_z
Fe1 0.167 0.167 0.167
Fe2 0.833 0.833 0.833
Cl1 0.060 0.807 0.433
Cl2 0.193 0.567 0.940
Cl3 0.433 0.060 0.807
Cl4 0.567 0.940 0.193
Cl5 0.807 0.433 0.060
Cl6 0.940 0.193 0.567
```

Summary:
- Total magnetic moment: 1.00 μB/f.u.
- Crystal system: trigonal
- Formation enthalpy at 0 K: -1.091 eV per atom
- SG: R-3



[6]
DFT (PBE) results for KZrNbBiO6 after structural relaxation.

Geometry as CIF:
```
data_KZrNbBiO6
_cell_length_a 5.850
_cell_length_b 5.850
_cell_length_c 5.850
_cell_angle_alpha 60.00
_cell_angle_beta 60.00
_cell_angle_gamma 60.00
_symmetry_space_group_name_H-M 'P 1'
_symmetry_Int_Tables_number 1
loop_
_symmetry_equiv_pos_as_xyz
'x,y,z'
loop_
_atom_site_label
_atom_site_fract_x
_atom_site_fract_y
_atom_site_fract_z
K1 0.000 0.000 0.000
Zr1 0.750 0.750 0.750
Nb1 0.250 0.250 0.250
Bi1 0.500 0.500 0.500
O1 0.006 0.006 0.494
O2 0.006 0.494 0.006
O3 0.006 0.494 0.494
O4 0.494 0.006 0.006
O5 0.494 0.006 0.494
O6 0.494 0.494 0.006
```

Summary:
- Total magnetic moment: 0.00 μB/f.u.
- Crystal system: cubic
- Formation enthalpy at 0 K: -2.654 eV per atom
- SG: F-43m



[7]
DFT (PBE) results for Tm2GeO5 after structural relaxation.

Geometry as CIF:
```
data_Tm2GeO5
_cell_length_a 8.161
_cell_length_b 8.161
_cell_length_c 10.371
_cell_angle_alpha 118.64
_cell_angle_beta 118.64
_cell_angle_gamma 49.30
_symmetry_space_group_name_H-M 'P 1'
_symmetry_Int_Tables_number 1
loop_
_symmetry_equiv_pos_as_xyz
'x,y,z'
loop_
_atom_site_label
_atom_site_fract_x
_atom_site_fract_y
_atom_site_fract_z
Tm1 0.008 0.264 0.837
Tm2 0.206 0.725 0.535
Tm3 0.264 0.008 0.337
Tm4 0.275 0.794 0.965
Tm5 0.725 0.206 0.035
Tm6 0.736 0.992 0.663
Tm7 0.794 0.275 0.465
Tm8 0.992 0.736 0.163
Ge1 0.221 0.408 0.691
Ge2 0.408 0.221 0.191
Ge3 0.592 0.779 0.809
Ge4 0.779 0.592 0.309
O1 0.041 0.348 0.675
O2 0.081 0.885 0.102
O3 0.084 0.685 0.677
O4 0.115 0.919 0.398
O5 0.218 0.373 0.050
O6 0.315 0.916 0.823
O7 0.348 0.041 0.175
O8 0.373 0.218 0.550
O9 0.416 0.422 0.867
O10 0.422 0.416 0.367
O11 0.578 0.584 0.633
O12 0.584 0.578 0.133
O13 0.627 0.782 0.450
O14 0.652 0.959 0.825
O15 0.685 0.084 0.177
O16 0.782 0.627 0.950
O17 0.885 0.081 0.602
O18 0.916 0.315 0.323
O19 0.919 0.115 0.898
O20 0.959 0.652 0.325
```

Summary:
- Crystal system: monoclinic
- Formation enthalpy at 0 K: -3.403 eV per atom
- SG: C2/c



[8]
DFT (PBE) results for Co3B after structural relaxation.

Geometry as CIF:
```
data_Co3B
_cell_length_a 5.151
_cell_length_b 6.619
_cell_length_c 4.408
_cell_angle_alpha 90.00
_cell_angle_beta 90.00
_cell_angle_gamma 90.00
_symmetry_space_group_name_H-M 'P 1'
_symmetry_Int_Tables_number 1
loop_
_symmetry_equiv_pos_as_xyz
'x,y,z'
loop_
_atom_site_label
_atom_site_fract_x
_atom_site_fract_y
_atom_site_fract_z
Co1 0.024 0.250 0.134
Co2 0.184 0.059 0.650
Co3 0.184 0.441 0.650
Co4 0.316 0.559 0.150
Co5 0.316 0.941 0.150
Co6 0.476 0.750 0.634
Co7 0.524 0.250 0.366
Co8 0.684 0.059 0.850
Co9 0.684 0.441 0.850
Co10 0.816 0.559 0.350
Co11 0.816 0.941 0.350
Co12 0.976 0.750 0.866
B1 0.120 0.750 0.438
B2 0.380 0.250 0.938
B3 0.620 0.750 0.062
B4 0.880 0.250 0.562
```

Summary:
- Total magnetic moment: 3.57 μB/f.u.
- Crystal system: orthorhombic
- Formation enthalpy at 0 K: -0.183 eV per atom
- SG: Pnma



[9]
DFT (PBE) results for BaHf12As18 after structural relaxation.

Geometry as CIF:
```
data_BaHf12As18
_cell_length_a 10.091
_cell_length_b 10.267
_cell_length_c 16.930
_cell_angle_alpha 88.59
_cell_angle_beta 77.06
_cell_angle_gamma 61.29
_symmetry_space_group_name_H-M 'P 1'
_symmetry_Int_Tables_number 1
loop_
_symmetry_equiv_pos_as_xyz
'x,y,z'
loop_
_atom_site_label
_atom_site_fract_x
_atom_site_fract_y
_atom_site_fract_z
Ba1 0.000 0.000 0.000
Ba2 0.477 0.018 0.495
Hf1 0.009 0.352 0.299
Hf2 0.095 0.030 0.733
Hf3 0.144 0.811 0.332
Hf4 0.199 0.058 0.166
Hf5 0.262 0.276 0.706
Hf6 0.271 0.186 0.887
Hf7 0.330 0.542 0.566
Hf8 0.352 0.535 0.784
Hf9 0.357 0.339 0.324
Hf10 0.398 0.706 0.057
Hf11 0.505 0.798 0.860
Hf12 0.544 0.037 0.119
Hf13 0.572 0.413 0.917
Hf14 0.613 0.053 0.917
Hf15 0.618 0.338 0.157
Hf16 0.641 0.994 0.701
Hf17 0.662 0.590 0.394
Hf18 0.777 0.213 0.319
Hf19 0.780 0.544 0.093
Hf20 0.861 0.822 0.203
Hf21 0.912 0.586 0.698
Hf22 0.914 0.369 0.854
Hf23 0.963 0.531 0.474
Hf24 0.984 0.828 0.526
As1 0.013 0.332 0.994
As2 0.067 0.769 0.685
As3 0.084 0.086 0.333
As4 0.095 0.500 0.822
As5 0.100 0.867 0.175
As6 0.169 0.390 0.575
As7 0.171 0.243 0.417
As8 0.201 0.592 0.109
As9 0.205 0.582 0.433
As10 0.270 0.834 0.496
As11 0.277 0.263 0.195
As12 0.303 0.691 0.922
As13 0.329 0.559 0.225
As14 0.338 0.353 0.962
As15 0.339 0.732 0.673
As16 0.371 0.994 0.750
As17 0.394 0.977 0.008
As18 0.409 0.795 0.350
As19 0.511 0.251 0.808
As20 0.520 0.300 0.643
As21 0.572 0.386 0.445
As22 0.619 0.211 0.032
As23 0.628 0.101 0.252
As24 0.636 0.501 0.263
As25 0.662 0.529 0.771
As26 0.677 0.600 0.957
As27 0.753 0.754 0.590
As28 0.769 0.821 0.813
As29 0.810 0.790 0.058
As30 0.834 0.000 0.426
As31 0.846 0.586 0.234
As32 0.848 0.145 0.851
As33 0.858 0.753 0.371
As34 0.894 0.032 0.649
As35 0.915 0.246 0.158
As36 0.990 0.295 0.681
```

Summary:
- Total magnetic moment: 0.00 μB/f.u.
- Crystal system: triclinic
- Formation enthalpy at 0 K: -0.506 eV per atom
- SG: P1



[10]
DFT (PBE) results for LaAl12O19 after structural relaxation.

Geometry as CIF:
```
data_LaAl12O19
_cell_length_a 5.644
_cell_length_b 5.644
_cell_length_c 22.299
_cell_angle_alpha 90.00
_cell_angle_beta 90.00
_cell_angle_gamma 119.93
_symmetry_space_group_name_H-M 'P 1'
_symmetry_Int_Tables_number 1
loop_
_symmetry_equiv_pos_as_xyz
'x,y,z'
loop_
_atom_site_label
_atom_site_fract_x
_atom_site_fract_y
_atom_site_fract_z
La1 0.164 0.836 0.500
La2 0.836 0.164 0.000
Al1 0.170 0.339 0.143
Al2 0.173 0.340 0.860
Al3 0.174 0.839 0.062
Al4 0.174 0.839 0.941
Al5 0.174 0.841 0.225
Al6 0.174 0.841 0.778
Al7 0.339 0.170 0.643
Al8 0.339 0.676 0.643
Al9 0.340 0.173 0.360
Al10 0.340 0.674 0.360
Al11 0.505 0.506 0.512
Al12 0.506 0.505 0.012
Al13 0.507 0.507 0.252
Al14 0.507 0.507 0.752
Al15 0.674 0.340 0.860
Al16 0.674 0.842 0.860
Al17 0.676 0.339 0.143
Al18 0.676 0.845 0.144
Al19 0.839 0.174 0.441
Al20 0.839 0.174 0.562
Al21 0.841 0.174 0.278
Al22 0.841 0.174 0.725
Al23 0.842 0.674 0.360
Al24 0.845 0.676 0.644
O1 0.002 0.012 0.101
O2 0.003 0.011 0.902
O3 0.003 0.498 0.101
O4 0.003 0.499 0.902
O5 0.011 0.003 0.402
O6 0.011 0.515 0.402
O7 0.012 0.002 0.601
O8 0.012 0.516 0.601
O9 0.142 0.325 0.502
O10 0.174 0.841 0.308
O11 0.174 0.841 0.695
O12 0.197 0.352 0.304
O13 0.199 0.353 0.698
O14 0.325 0.142 0.002
O15 0.328 0.690 0.002
O16 0.352 0.197 0.804
O17 0.352 0.663 0.804
O18 0.353 0.199 0.198
O19 0.353 0.662 0.198
O20 0.498 0.003 0.601
O21 0.499 0.003 0.402
O22 0.507 0.507 0.100
O23 0.507 0.507 0.600
O24 0.507 0.508 0.400
O25 0.508 0.507 0.900
O26 0.515 0.011 0.902
O27 0.516 0.012 0.101
O28 0.661 0.816 0.698
O29 0.662 0.353 0.698
O30 0.662 0.818 0.304
O31 0.663 0.352 0.304
O32 0.690 0.328 0.502
O33 0.690 0.870 0.502
O34 0.816 0.661 0.198
O35 0.818 0.662 0.804
O36 0.841 0.174 0.195
O37 0.841 0.174 0.808
O38 0.870 0.690 0.002
```

Summary:
- Total magnetic moment: 0.00 μB/f.u.
- Crystal system: monoclinic
- Formation enthalpy at 0 K: -3.408 eV per atom
- SG: Cc